This record from the Materials Project database describes a relaxed CeAgAu2 crystal. The functional is PBE-GGA.

It has space group Fm-3m (No. 225), with a = 7.090 Å, b = 7.090 Å, c = 7.090 Å, α = 90.00°, β = 90.00° and γ = 90.00°. The distinct sites, in fractional coordinates, are Ce at (0.000, 0.000, 0.000), Ag at (0.000, 0.000, 0.500) and Au at (0.250, 0.250, 0.250).

As for the formation energy: -0.504 eV/atom.

***

This record from the Materials Project database describes a relaxed Cs2AgAuCl6 crystal. The functional is PBE-GGA.

It has space group Fm-3m (No. 225), with a = 10.441 Å, b = 10.441 Å, c = 10.441 Å, α = 90.00°, β = 90.00° and γ = 90.00°. The distinct sites, in fractional coordinates, are Cs at (0.250, 0.250, 0.250), Ag at (0.000, 0.000, 0.000), Au at (0.000, 0.000, 0.500) and Cl at (0.000, 0.000, 0.253).

As for the formation energy: -1.397 eV/atom. The calculation puts the excess energy over the best structure of this formula in the dataset at 54.1 meV per atom. The calculation puts the size of the total moment at 0.00 μB/atom.

***

This record from the Materials Project database describes a relaxed Cs2AgAuCl6 crystal. The functional is PBE-GGA.

It has space group I4/mmm (No. 139), with a = 7.456 Å, b = 7.456 Å, c = 11.432 Å, α = 90.00°, β = 90.00° and γ = 90.00°. The distinct sites, in fractional coordinates, are Cs at (0.000, 0.500, 0.250), Ag at (0.000, 0.000, 0.000), Au at (0.000, 0.000, 0.500), Cl at (0.000, 0.000, 0.210) and Cl at (0.224, 0.224, 0.500).

As for the formation energy: -1.451 eV/atom. The calculation puts the excess energy over the best structure of this formula in the dataset at 0.0 meV per atom. The calculation puts the size of the total moment at 0.00 μB/atom.

***

This record from the Materials Project database describes a relaxed Ag2Au3N6Cl17 crystal. The functional is PBE-GGA.

It has space group Immm (No. 71), with a = 6.496 Å, b = 14.623 Å, c = 19.706 Å, α = 90.00°, β = 90.00° and γ = 90.00°. The distinct sites, in fractional coordinates, are Ag at (0.000, 0.000, 0.132), Au at (0.000, 0.500, 0.167), Au at (0.000, 0.500, 0.500), N at (0.000, 0.239, 0.316), N at (0.000, 0.295, 0.000), Cl at (0.000, 0.000, 0.000), Cl at (0.000, 0.232, 0.071), Cl at (0.000, 0.341, 0.500), Cl at (0.000, 0.500, 0.382), Cl at (0.234, 0.000, 0.254) and Cl at (0.244, 0.500, 0.082).

As for the formation energy: 0.438 eV/atom. The calculation puts the size of the total moment at 0.49 μB/atom.

***

This record from the Materials Project database describes a relaxed Na2AgAuCl6 crystal. The functional is PBE-GGA.

It has space group Fm-3m (No. 225), with a = 10.193 Å, b = 10.193 Å, c = 10.193 Å, α = 90.00°, β = 90.00° and γ = 90.00°. The distinct sites, in fractional coordinates, are Na at (0.250, 0.250, 0.250), Ag at (0.000, 0.000, 0.000), Au at (0.000, 0.000, 0.500) and Cl at (0.000, 0.000, 0.252).

As for the formation energy: -1.164 eV/atom. The calculation puts the size of the total moment at 0.00 μB/atom.

***

This record from the Materials Project database describes a relaxed Rb2AgAuCl6 crystal. The functional is PBE-GGA.

It has space group Fm-3m (No. 225), with a = 10.336 Å, b = 10.336 Å, c = 10.336 Å, α = 90.00°, β = 90.00° and γ = 90.00°. The distinct sites, in fractional coordinates, are Rb at (0.250, 0.250, 0.250), Ag at (0.000, 0.000, 0.000), Au at (0.000, 0.000, 0.500) and Cl at (0.000, 0.000, 0.253).

As for the formation energy: -1.375 eV/atom. The calculation puts the size of the total moment at 0.00 μB/atom.

***

This record from the Materials Project database describes a relaxed Dy2AgAu crystal. The functional is PBE-GGA.

It has space group Fm-3m (No. 225), with a = 7.230 Å, b = 7.230 Å, c = 7.230 Å, α = 90.00°, β = 90.00° and γ = 90.00°. The distinct sites, in fractional coordinates, are Dy at (0.250, 0.250, 0.250), Ag at (0.000, 0.000, 0.000) and Au at (0.000, 0.000, 0.500).

As for the formation energy: -0.599 eV/atom.

***

This record from the Materials Project database describes a relaxed Er2AgAu crystal. The functional is PBE-GGA.

It has space group Fm-3m (No. 225), with a = 7.156 Å, b = 7.156 Å, c = 7.156 Å, α = 90.00°, β = 90.00° and γ = 90.00°. The distinct sites, in fractional coordinates, are Er at (0.250, 0.250, 0.250), Ag at (0.000, 0.000, 0.000) and Au at (0.000, 0.000, 0.500).

As for the formation energy: -0.615 eV/atom.

***

This record from the Materials Project database describes a relaxed AgAu2F8 crystal. The functional is PBE-GGA.

It has space group P2_1/c (No. 14), with a = 5.541 Å, b = 11.385 Å, c = 7.656 Å, α = 90.00°, β = 132.34° and γ = 90.00°. The distinct sites, in fractional coordinates, are Ag at (0.000, 0.000, 0.000), Au at (0.244, 0.180, 0.513), F at (0.058, 0.725, 0.770), F at (0.095, 0.032, 0.330), F at (0.391, 0.174, 0.195) and F at (0.465, 0.587, 0.690).

As for the formation energy: -1.383 eV/atom.

***

This record from the Materials Project database describes a relaxed K2AgAuF6 crystal. The functional is PBE-GGA.

It has space group Fm-3m (No. 225), with a = 8.897 Å, b = 8.897 Å, c = 8.897 Å, α = 90.00°, β = 90.00° and γ = 90.00°. The distinct sites, in fractional coordinates, are K at (0.250, 0.250, 0.250), Ag at (0.000, 0.000, 0.000), Au at (0.000, 0.000, 0.500) and F at (0.000, 0.000, 0.252).

As for the formation energy: -2.013 eV/atom. The calculation puts the size of the total moment at 0.00 μB/atom.

***

This record from the Materials Project database describes a relaxed Na2AgAuF6 crystal. The functional is PBE-GGA.

It has space group Fm-3m (No. 225), with a = 8.815 Å, b = 8.815 Å, c = 8.815 Å, α = 90.00°, β = 90.00° and γ = 90.00°. The distinct sites, in fractional coordinates, are Na at (0.250, 0.250, 0.250), Ag at (0.000, 0.000, 0.000), Au at (0.000, 0.000, 0.500) and F at (0.000, 0.000, 0.251).

As for the formation energy: -1.837 eV/atom. The calculation puts the size of the total moment at 0.00 μB/atom.

***

This record from the Materials Project database describes a relaxed Rb2AgAuF6 crystal. The functional is PBE-GGA.

It has space group Fm-3m (No. 225), with a = 8.955 Å, b = 8.955 Å, c = 8.955 Å, α = 90.00°, β = 90.00° and γ = 90.00°. The distinct sites, in fractional coordinates, are Rb at (0.250, 0.250, 0.250), Ag at (0.000, 0.000, 0.000), Au at (0.000, 0.000, 0.500) and F at (0.000, 0.000, 0.253).

As for the formation energy: -2.030 eV/atom. The calculation puts the size of the total moment at 0.00 μB/atom.

***

This record from the Materials Project database describes a relaxed Ho2AgAu crystal. The functional is PBE-GGA.

It has space group Fm-3m (No. 225), with a = 7.192 Å, b = 7.192 Å, c = 7.192 Å, α = 90.00°, β = 90.00° and γ = 90.00°. The distinct sites, in fractional coordinates, are Ho at (0.250, 0.250, 0.250), Ag at (0.000, 0.000, 0.000) and Au at (0.000, 0.000, 0.500).

As for the formation energy: -0.607 eV/atom.

***

This record from the Materials Project database describes a relaxed Li2AgAu crystal. The functional is PBE-GGA.

It has space group Fm-3m (No. 225), with a = 6.309 Å, b = 6.309 Å, c = 6.309 Å, α = 90.00°, β = 90.00° and γ = 90.00°. The distinct sites, in fractional coordinates, are Li at (0.250, 0.250, 0.250), Ag at (0.000, 0.000, 0.000) and Au at (0.000, 0.000, 0.500).

As for the formation energy: -0.404 eV/atom.

***

This record from the Materials Project database describes a relaxed Lu2AgAu crystal. The functional is PBE-GGA.

It has space group Fm-3m (No. 225), with a = 7.089 Å, b = 7.089 Å, c = 7.089 Å, α = 90.00°, β = 90.00° and γ = 90.00°. The distinct sites, in fractional coordinates, are Lu at (0.250, 0.250, 0.250), Ag at (0.000, 0.000, 0.000) and Au at (0.000, 0.000, 0.500).

As for the formation energy: -0.631 eV/atom.

***

This record from the Materials Project database describes a relaxed Mg2AgAu crystal. The functional is PBE-GGA.

It has space group Fm-3m (No. 225), with a = 6.630 Å, b = 6.630 Å, c = 6.630 Å, α = 90.00°, β = 90.00° and γ = 90.00°. The distinct sites, in fractional coordinates, are Mg at (0.250, 0.250, 0.250), Ag at (0.000, 0.000, 0.000) and Au at (0.000, 0.000, 0.500).

As for the formation energy: -0.444 eV/atom.

***

This record from the Materials Project database describes a relaxed AgAuO2 crystal. The functional is PBE-GGA.

It has space group Pmna (No. 53), with a = 5.465 Å, b = 5.292 Å, c = 4.313 Å, α = 90.00°, β = 90.00° and γ = 90.00°. The distinct sites, in fractional coordinates, are Ag at (0.000, 0.000, 0.000), Au at (0.000, 0.500, 0.500) and O at (0.250, 0.296, 0.250).

As for the formation energy: -0.466 eV/atom.

***

This record from the Materials Project database describes a relaxed AgAuO2 crystal. The functional is PBE-GGA.

It has space group P2_1/c (No. 14), with a = 5.616 Å, b = 4.066 Å, c = 5.533 Å, α = 90.00°, β = 103.82° and γ = 90.00°. The distinct sites, in fractional coordinates, are Ag at (0.000, 0.000, 0.000), Au at (0.500, 0.000, 0.500) and O at (0.300, 0.210, 0.723).

As for the formation energy: -0.472 eV/atom.

***

This record from the Materials Project database describes a relaxed AgAuO2 crystal. The functional is PBE-GGA.

It has space group I4_122 (No. 98), with a = 4.797 Å, b = 4.797 Å, c = 10.865 Å, α = 90.00°, β = 90.00° and γ = 90.00°. The distinct sites, in fractional coordinates, are Ag at (0.000, 0.000, 0.000), Au at (0.000, 0.000, 0.500) and O at (0.220, 0.250, 0.625).

As for the formation energy: -0.438 eV/atom. The calculation puts the size of the total moment at 0.00 μB/atom.

***

This record from the Materials Project database describes a relaxed AgPd2Au crystal. The functional is PBE-GGA.

It has space group R3m (No. 160, hexagonal axes), with a = 2.8748 Å, b = 2.8748 Å, c = 27.9699 Å, α = 90.00°, β = 90.00° and γ = 120.00°. The distinct sites, in fractional coordinates, are Ag at (0.0000, 0.0000, 0.0000), Pd at (0.0000, 0.0000, 0.2505), Pd at (0.0000, 0.0000, 0.5038) and Au at (0.0000, 0.0000, 0.7536).

As for the formation energy: -0.056 eV/atom. The calculation puts the excess energy over the best structure of this formula in the dataset at 0.0 meV per atom.

***

This record from the Materials Project database describes a relaxed Pm2AgAu crystal. The functional is PBE-GGA.

It has space group Fm-3m (No. 225), with a = 7.442 Å, b = 7.442 Å, c = 7.442 Å, α = 90.00°, β = 90.00° and γ = 90.00°. The distinct sites, in fractional coordinates, are Pm at (0.250, 0.250, 0.250), Ag at (0.000, 0.000, 0.000) and Au at (0.000, 0.000, 0.500).

As for the formation energy: -0.534 eV/atom.

***

This record from the Materials Project database describes a relaxed Ag5Au3S4 crystal. The functional is PBE-GGA.

It has space group P1 (No. 1), with a = 4.742 Å, b = 5.851 Å, c = 11.897 Å, α = 82.64°, β = 87.50° and γ = 84.05°. The distinct sites, in fractional coordinates, are Ag at (0.000, 0.000, 0.000), Ag at (0.070, 0.486, 0.933), Ag at (0.233, 0.753, 0.607), Ag at (0.477, 0.220, 0.417), Ag at (0.605, 0.381, 0.093), Au at (0.001, 0.345, 0.276), Au at (0.604, 0.389, 0.813), Au at (0.868, 0.398, 0.560), S at (0.116, 0.610, 0.124), S at (0.500, 0.084, 0.950), S at (0.721, 0.689, 0.674) and S at (0.990, 0.096, 0.449).

As for the formation energy: -0.155 eV/atom. The calculation puts the excess energy over the best structure of this formula in the dataset at 54.6 meV per atom. The calculation puts the size of the total moment at 0.00 μB/atom.

***

This record from the Materials Project database describes a relaxed Ag5Au3S4 crystal. The functional is PBE-GGA.

It has space group P1 (No. 1), with a = 4.636 Å, b = 4.813 Å, c = 13.625 Å, α = 91.31°, β = 91.02° and γ = 110.53°. The distinct sites, in fractional coordinates, are Ag at (0.000, 0.000, 0.000), Ag at (0.059, 0.833, 0.207), Ag at (0.266, 0.039, 0.771), Ag at (0.445, 0.416, 0.153), Ag at (0.624, 0.273, 0.497), Au at (0.150, 0.536, 0.896), Au at (0.152, 0.521, 0.637), Au at (0.180, 0.513, 0.377), S at (0.441, 0.815, 0.030), S at (0.493, 0.734, 0.513), S at (0.852, 0.258, 0.763) and S at (0.893, 0.277, 0.237).

As for the formation energy: -0.210 eV/atom. The calculation puts the excess energy over the best structure of this formula in the dataset at 0.0 meV per atom. The calculation puts the size of the total moment at 0.00 μB/atom.

***

This record from the Materials Project database describes a relaxed Ag3AuS2 crystal. The functional is PBE-GGA.

It has space group P1 (No. 1), with a = 4.737 Å, b = 4.872 Å, c = 5.845 Å, α = 88.53°, β = 84.99° and γ = 80.96°. The distinct sites, in fractional coordinates, are Ag at (0.000, 0.000, 0.000), Ag at (0.195, 0.739, 0.559), Ag at (0.621, 0.441, 0.225), Au at (0.486, 0.190, 0.697), S at (0.199, 0.467, 0.980) and S at (0.726, 0.897, 0.403).

As for the formation energy: -0.192 eV/atom. The calculation puts the excess energy over the best structure of this formula in the dataset at 41.6 meV per atom. The maximum piezoelectric response is 0.49 C/m2. The calculation puts the size of the total moment at 0.00 μB/atom.